A plane-wave DFT calculation with PBE+U was carried out for a relaxed structure of NaW2O6.

Geometry as extended XYZ:
```
9
Lattice="-2.765 3.909 2.764 2.765 -3.909 2.764 2.765 3.909 -2.764" Properties=species:S:1:pos:R:3 pbc="T T T"
Na 0.000 0.000 0.000
W 2.765 1.936 0.030
W 0.000 1.973 2.794
O 1.386 1.958 -1.350
O 4.144 1.958 -1.350
O 2.765 0.000 0.052
O 0.000 0.000 2.753
O -1.379 1.952 1.414
O 1.379 1.952 1.414
```

Results
- crystal system = orthorhombic
- excess energy over the best structure of this formula in the dataset (meV per atom) = 6.0
- energy relative to the elements (eV per atom) = -2.18
- DFT total energy (eV/atom) = -7.06
- space group = Imm2, No. 44

=====

A plane-wave DFT calculation with PBE+U was carried out for a relaxed structure of Li3V3P8O29.

Geometry as extended XYZ:
```
86
Lattice="9.717 0.000 0.000 -4.857 8.488 0.000 -0.021 -0.273 14.346" Properties=species:S:1:pos:R:3 pbc="T T T"
Li 0.000 0.000 0.000
Li -0.823 2.115 7.789
Li -0.163 4.936 12.817
Li 4.045 4.974 13.380
Li 5.367 5.051 6.086
Li 4.658 7.820 6.770
V -0.792 7.754 10.557
V 1.987 3.070 3.427
V 0.416 7.903 3.481
V 2.552 4.071 10.551
V 7.403 2.904 10.652
V 6.850 4.178 3.348
P -0.818 2.039 4.744
P -3.082 5.875 11.806
P -2.528 7.150 4.748
P 0.486 1.878 11.968
P 2.355 0.102 2.124
P 1.707 1.149 9.347
P -0.213 4.905 8.916
P -0.113 5.083 1.780
P 4.641 2.080 12.298
P 4.712 2.257 5.111
P 2.136 7.003 11.929
P 2.797 6.024 4.652
P 4.024 5.240 2.071
P 7.036 -0.056 9.287
P 7.636 1.231 2.179
P 5.383 5.082 9.241
O -1.615 3.348 4.526
O -1.040 2.210 11.767
O -2.901 5.631 4.624
O -2.225 4.562 11.694
O -0.908 3.620 9.487
O -3.187 7.726 5.944
O -1.585 5.036 2.354
O -3.118 7.846 3.418
O -3.102 8.022 0.898
O 0.843 0.966 10.688
O 0.805 1.084 8.171
O 0.728 1.103 13.194
O 0.687 2.362 4.561
O -2.058 7.044 11.805
O -0.152 4.888 7.439
O -0.900 6.157 9.576
O -0.121 5.112 0.290
O 0.610 3.848 2.375
O 2.767 0.012 9.416
O 1.960 1.607 2.305
O 1.191 3.253 11.787
O -0.978 7.270 4.619
O 3.898 0.028 2.310
O 2.455 2.509 9.532
O 1.227 4.902 9.613
O 0.530 6.334 2.436
O 3.280 2.257 4.456
O 4.039 0.811 11.608
O 0.579 6.951 11.733
O 2.117 4.642 4.560
O 5.482 -0.113 9.488
O 3.266 3.914 2.301
O 1.716 7.139 4.631
O 2.593 5.488 11.838
O 3.897 3.322 11.695
O 5.389 0.994 4.466
O 4.684 2.115 13.774
O 4.701 2.307 6.594
O 6.546 0.138 2.299
O 3.858 4.822 9.504
O 3.791 5.893 0.761
O 3.611 6.234 3.256
O 2.686 7.631 13.142
O 2.751 7.696 10.601
O 2.762 7.861 8.058
O 3.779 6.190 5.767
O 6.096 2.160 11.646
O 5.435 3.519 4.510
O 6.136 3.766 9.536
O 5.545 4.947 2.296
O 7.468 1.453 9.434
O 6.927 2.625 2.318
O 5.609 5.683 7.908
O 8.505 1.094 0.999
O 8.507 1.060 3.539
O 5.670 5.878 12.929
O 5.835 6.086 10.406
O 8.654 1.350 6.045
```

Results
- crystal system = triclinic
- excess energy over the best structure of this formula in the dataset (meV per atom) = 10.9
- energy relative to the elements (eV per atom) = -2.52
- DFT total energy (eV/atom) = -7.05
- space group = P1, No. 1

=====

A plane-wave DFT calculation with PBE+U was carried out for a relaxed structure of Tm2W3O12.

Geometry as extended XYZ:
```
68
Lattice="10.045 0.000 0.000 0.000 10.162 0.000 -9.943 0.000 13.987" Properties=species:S:1:pos:R:3 pbc="T T T"
Tm -2.457 0.301 5.339
Tm -7.428 4.780 12.333
Tm 2.470 0.349 1.654
Tm -2.502 4.732 8.647
Tm 2.603 5.430 5.340
Tm -2.368 9.813 12.333
Tm 7.530 5.381 1.654
Tm 2.558 9.861 8.648
W 0.261 7.613 0.001
W -4.711 7.629 6.994
W -5.975 1.213 11.982
W -1.004 3.868 4.988
W -3.857 6.297 11.988
W 1.115 8.946 4.995
W -1.014 1.216 8.992
W 3.958 3.865 1.999
W 1.105 6.294 8.999
W 6.077 8.949 2.005
W 4.812 2.532 6.993
W -0.160 2.548 13.986
O -0.773 6.667 1.153
O -5.745 8.576 8.146
O -8.514 6.507 13.164
O -3.542 8.735 6.170
O -6.719 0.220 10.654
O -1.748 4.861 3.660
O 0.796 1.769 1.246
O -4.175 3.312 8.239
O -3.806 6.351 7.904
O 1.165 8.891 0.911
O -1.315 2.105 4.679
O -6.287 2.976 11.672
O -6.745 0.768 13.558
O -1.774 4.313 6.565
O -5.649 6.064 12.125
O -0.677 9.178 5.132
O -1.792 0.743 7.430
O 3.179 4.338 0.437
O -3.213 5.252 10.656
O 1.759 9.990 3.663
O -4.190 0.902 12.067
O 0.782 4.179 5.074
O 1.466 7.203 4.647
O -3.505 8.040 11.641
O 3.607 2.122 2.346
O -1.365 2.959 9.340
O -0.680 5.983 8.913
O 4.291 9.260 1.920
O -1.657 0.172 10.325
O 3.315 4.909 3.331
O -3.078 5.824 13.551
O 1.894 9.419 6.557
O 0.778 0.983 8.856
O 5.750 4.098 1.862
O 1.875 5.849 7.423
O 6.847 9.394 0.429
O 6.388 7.185 2.315
O 1.416 8.057 9.309
O -1.064 1.270 13.076
O 3.908 3.810 6.083
O 4.277 6.850 5.748
O -0.695 8.392 12.741
O 1.849 5.301 10.327
O 6.821 9.942 3.333
O 3.643 1.426 7.817
O 8.615 3.655 0.824
O 5.846 1.586 5.841
O 0.874 3.495 12.834
```

Results
- crystal system = monoclinic
- excess energy over the best structure of this formula in the dataset (meV per atom) = 0.0
- energy relative to the elements (eV per atom) = -2.78
- DFT total energy (eV/atom) = -7.82
- space group = P2_1/c, No. 14